No. 1
Computed, not measured: a relaxed KLiMg6 crystal at the PBE level of DFT.

Computed properties:
offset from the most stable computed form	6	meV/atom

Cell: 5.4341 6.4896 11.9356 Å, 90.00 90.00 90.00°
Sites, in units of the cell vectors:
Mg1 0.0000 0.2628 0.0771
Mg2 0.0000 0.0000 0.8315
Mg3 0.0000 0.2372 0.5771
Mg4 0.5000 0.7481 0.9184
Mg5 0.0000 0.0000 0.3413
Mg6 0.0000 0.7628 0.5771
Mg7 0.0000 0.7372 0.0771
K1 0.5000 0.5000 0.6693
Mg8 0.5000 0.2519 0.9184
Mg9 0.0000 0.5000 0.8413
Mg10 0.0000 0.5000 0.3315
Li1 0.5000 0.5000 0.1669
Mg11 0.5000 0.7519 0.4184
Li2 0.5000 0.0000 0.6669
Mg12 0.5000 0.2481 0.4184
K2 0.5000 0.0000 0.1693

---

No. 2
Computed, not measured: a relaxed Cs2AlTlI6 crystal at the PBE level of DFT.

Computed properties:
total energy after the MP2020 corrections	-29.2	eV per formula unit
symmetry	Fm-3m (225)

Cell: 8.7188 8.7188 8.7188 Å, 60.00 60.00 60.00°
Sites, in units of the cell vectors:
Cs1 0.7500 0.7500 0.7500
Cs2 0.2500 0.2500 0.2500
I1 0.7736 0.2264 0.2264
I2 0.2264 0.7736 0.2264
I3 0.7736 0.7736 0.2264
I4 0.7736 0.2264 0.7736
I5 0.2264 0.2264 0.7736
Tl1 0.5000 0.5000 0.5000
Al1 0.0000 0.0000 0.0000
I6 0.2264 0.7736 0.7736

---

No. 3
Computed, not measured: a relaxed Ag3AuSe2 crystal at the PBE level of DFT.

Computed properties:
total energy after the MP2020 corrections	-20.2	eV per formula unit
symmetry	I4_132 (214)

Cell: 8.7808 8.7808 8.7808 Å, 109.47 109.47 109.47°
Sites, in units of the cell vectors:
Ag1 0.6219 0.7500 0.3719
Ag2 0.1281 0.7500 0.8781
Se1 0.5351 0.5000 0.0000
Ag3 0.2500 0.1281 0.8781
Se2 0.5351 0.5351 0.5351
Au1 0.0000 0.2500 0.5000
Ag4 0.1281 0.8781 0.2500
Au2 0.2500 0.5000 0.0000
Ag5 0.6219 0.3719 0.2500
Au3 0.5000 0.0000 0.2500
Se3 0.5000 0.0000 0.9649
Se4 0.9649 0.9649 0.9649
Se5 0.5000 0.0000 0.5351
Ag6 0.2500 0.6219 0.3719
Se6 0.0000 0.9649 0.5000
Ag7 0.8781 0.1281 0.7500
Au4 0.2500 0.2500 0.2500
Ag8 0.7500 0.3719 0.6219
Se7 0.0000 0.5351 0.5000
Ag9 0.7500 0.8781 0.1281
Se8 0.9649 0.5000 0.0000
Ag10 0.8781 0.2500 0.1281
Ag11 0.3719 0.6219 0.7500
Ag12 0.3719 0.2500 0.6219

---

Number 1: formation energy 0.163 eV per atom, calculated total energy -11.3 eV/f.u.. Number 2: formation energy -1.218 eV per atom, calculated total energy -27.0 eV/f.u.. Number 3: formation energy -0.244 eV per atom, calculated total energy -19.3 eV/f.u..